1.
! KMoAsO6 (PBE+U, optimized geometry); values from VASP
&SYSTEM
  ibrav = 0, nat = 36, ntyp = 4
/
ATOMIC_SPECIES
K 39.10 K.upf
Mo 95.94 Mo.upf
As 74.92 As.upf
O 16.00 O.upf
CELL_PARAMETERS angstrom
10.9422 0.0000 0.0000
0.0000 6.7594 0.0000
0.0000 0.0000 7.1396
ATOMIC_POSITIONS crystal
K 0.0000 0.0000 0.0000
K 0.0000 0.5000 0.0000
K 0.5000 0.0000 0.5000
K 0.5000 0.5000 0.5000
Mo 0.1600 0.2500 0.4516
Mo 0.3400 0.7500 0.9516
Mo 0.6600 0.2500 0.0484
Mo 0.8400 0.7500 0.5484
As 0.1543 0.7500 0.5426
As 0.3457 0.2500 0.0426
As 0.6543 0.7500 0.9574
As 0.8457 0.2500 0.4574
O 0.0279 0.7500 0.6848
O 0.0908 0.2500 0.6715
O 0.1496 0.5440 0.3971
O 0.1496 0.9560 0.3971
O 0.1864 0.7500 0.0122
O 0.2052 0.2500 0.1502
O 0.2948 0.7500 0.6502
O 0.3136 0.2500 0.5122
O 0.3504 0.0440 0.8971
O 0.3504 0.4560 0.8971
O 0.4092 0.7500 0.1715
O 0.4721 0.2500 0.1848
O 0.5279 0.7500 0.8152
O 0.5908 0.2500 0.8285
O 0.6496 0.5440 0.1029
O 0.6496 0.9560 0.1029
O 0.6864 0.7500 0.4878
O 0.7052 0.2500 0.3498
O 0.7948 0.7500 0.8498
O 0.8136 0.2500 0.9878
O 0.8504 0.0440 0.6029
O 0.8504 0.4560 0.6029
O 0.9092 0.7500 0.3285
O 0.9721 0.2500 0.3152
! size of the total moment: 0.00 μB per formula unit
! ΔH_f (0 K): -1952 meV/atom

2.
! K2MoAs2O9 (PBE+U, optimized geometry); values from VASP
&SYSTEM
  ibrav = 0, nat = 56, ntyp = 4
/
ATOMIC_SPECIES
K 39.10 K.upf
Mo 95.94 Mo.upf
As 74.92 As.upf
O 16.00 O.upf
CELL_PARAMETERS angstrom
7.6055 0.0000 0.0000
0.0000 14.2045 0.0000
-4.2750 0.0000 8.7258
ATOMIC_POSITIONS crystal
K 0.0420 0.0893 0.3604
K 0.0420 0.4107 0.8604
K 0.3337 0.5477 0.6248
K 0.3337 0.9523 0.1248
K 0.6663 0.0477 0.8752
K 0.6663 0.4523 0.3752
K 0.9580 0.5893 0.1396
K 0.9580 0.9107 0.6396
Mo 0.4236 0.2167 0.1692
Mo 0.4236 0.2833 0.6692
Mo 0.5764 0.7167 0.3308
Mo 0.5764 0.7833 0.8308
As 0.1304 0.1585 0.8044
As 0.1304 0.3415 0.3044
As 0.2869 0.6655 0.9676
As 0.2869 0.8345 0.4676
As 0.7131 0.1655 0.5324
As 0.7131 0.3345 0.0324
As 0.8696 0.6585 0.6956
As 0.8696 0.8415 0.1956
O 0.0679 0.0545 0.8507
O 0.0679 0.4455 0.3507
O 0.0768 0.7267 0.8253
O 0.0768 0.7733 0.3253
O 0.2049 0.2376 0.9581
O 0.2049 0.2624 0.4581
O 0.2197 0.5636 0.0142
O 0.2197 0.9364 0.5142
O 0.2892 0.1563 0.7230
O 0.2892 0.3437 0.2230
O 0.2977 0.1403 0.2356
O 0.2977 0.3597 0.7356
O 0.3584 0.7462 0.1186
O 0.3584 0.7538 0.6186
O 0.4471 0.6605 0.8875
O 0.4471 0.8395 0.3875
O 0.4497 0.6364 0.3906
O 0.4497 0.8636 0.8906
O 0.5503 0.1364 0.1094
O 0.5503 0.3636 0.6094
O 0.5529 0.1605 0.6125
O 0.5529 0.3395 0.1125
O 0.6416 0.2462 0.3814
O 0.6416 0.2538 0.8814
O 0.7023 0.6403 0.2644
O 0.7023 0.8597 0.7644
O 0.7108 0.6563 0.7770
O 0.7108 0.8437 0.2770
O 0.7803 0.0636 0.4858
O 0.7803 0.4364 0.9858
O 0.7951 0.7376 0.5419
O 0.7951 0.7624 0.0419
O 0.9232 0.2267 0.6747
O 0.9232 0.2733 0.1747
O 0.9321 0.5545 0.6493
O 0.9321 0.9455 0.1493
! ΔH_f (0 K): -1961 meV/atom

3.
! K2Mo3As4O20 (PBE+U, optimized geometry); values from VASP
&SYSTEM
  ibrav = 0, nat = 58, ntyp = 4
/
ATOMIC_SPECIES
K 39.10 K.upf
Mo 95.94 Mo.upf
As 74.92 As.upf
O 16.00 O.upf
CELL_PARAMETERS angstrom
8.9473 -4.5594 0.0000
8.9473 4.5594 0.0000
-4.8312 0.0000 11.3445
ATOMIC_POSITIONS crystal
K 0.1516 0.6565 0.8994
K 0.3435 0.8484 0.6006
K 0.6565 0.1516 0.3994
K 0.8484 0.3435 0.1006
Mo 0.1680 0.1692 0.3605
Mo 0.1692 0.1680 0.8605
Mo 0.4258 0.5742 0.2500
Mo 0.5742 0.4258 0.7500
Mo 0.8308 0.8320 0.1395
Mo 0.8320 0.8308 0.6395
As 0.1603 0.4788 0.2694
As 0.2069 0.5127 0.5385
As 0.4788 0.1603 0.7694
As 0.4873 0.7931 0.9615
As 0.5127 0.2069 0.0385
As 0.5212 0.8397 0.2306
As 0.7931 0.4873 0.4615
As 0.8397 0.5212 0.7306
O 0.0048 0.5938 0.1656
O 0.0447 0.5983 0.6088
O 0.0683 0.0934 0.2346
O 0.0934 0.0683 0.7346
O 0.0945 0.1742 0.9696
O 0.1188 0.6096 0.4107
O 0.1593 0.3042 0.2448
O 0.1742 0.0945 0.4696
O 0.2730 0.6601 0.1319
O 0.2953 0.3038 0.4869
O 0.3042 0.1593 0.7448
O 0.3038 0.2953 0.9869
O 0.3399 0.7270 0.3681
O 0.3430 0.5734 0.6256
O 0.3566 0.4246 0.2629
O 0.3904 0.8812 0.0893
O 0.4017 0.9553 0.8912
O 0.4062 0.9952 0.3344
O 0.4246 0.3566 0.7629
O 0.4266 0.6570 0.8744
O 0.5734 0.3430 0.1256
O 0.5754 0.6434 0.2371
O 0.5938 0.0048 0.6656
O 0.5983 0.0447 0.1088
O 0.6096 0.1188 0.9107
O 0.6434 0.5754 0.7371
O 0.6570 0.4266 0.3744
O 0.6601 0.2730 0.6319
O 0.6962 0.7047 0.0131
O 0.6958 0.8407 0.2552
O 0.7047 0.6962 0.5131
O 0.7270 0.3399 0.8681
O 0.8258 0.9055 0.5304
O 0.8407 0.6958 0.7552
O 0.8812 0.3904 0.5893
O 0.9055 0.8258 0.0304
O 0.9066 0.9317 0.2654
O 0.9317 0.9066 0.7654
O 0.9553 0.4017 0.3912
O 0.9952 0.4062 0.8344
! size of the total moment: 0.04 μB per formula unit
! ΔH_f (0 K): -1858 meV/atom

4.
! K4Ni7As6O24 (PBE+U, optimized geometry); values from VASP
&SYSTEM
  ibrav = 0, nat = 41, ntyp = 4
/
ATOMIC_SPECIES
K 39.10 K.upf
Ni 58.69 Ni.upf
As 74.92 As.upf
O 16.00 O.upf
CELL_PARAMETERS angstrom
5.5626 -7.3644 0.0000
5.5626 7.3644 0.0000
-1.7050 0.0000 6.6421
ATOMIC_POSITIONS crystal
K 0.0000 0.0000 0.0000
K 0.2090 0.4377 0.9601
K 0.4377 0.2090 0.9601
K 0.6347 0.6347 0.9466
Ni 0.3012 0.9137 0.3038
Ni 0.3140 0.5621 0.4804
Ni 0.5621 0.3140 0.4804
Ni 0.5757 0.9566 0.6548
Ni 0.9137 0.3012 0.3038
Ni 0.9379 0.9379 0.4818
Ni 0.9566 0.5757 0.6548
As 0.0358 0.6557 0.2078
As 0.2212 0.8336 0.7543
As 0.2424 0.2424 0.5017
As 0.6310 0.6310 0.4502
As 0.6557 0.0358 0.2078
As 0.8336 0.2212 0.7543
O 0.0258 0.8140 0.6763
O 0.0601 0.8511 0.2861
O 0.1293 0.1293 0.6291
O 0.1526 0.3442 0.3558
O 0.2092 0.6381 0.7056
O 0.2324 0.6664 0.2567
O 0.2726 0.9287 0.9984
O 0.3442 0.1526 0.3558
O 0.3439 0.9336 0.6190
O 0.3906 0.3906 0.6657
O 0.4818 0.4818 0.2917
O 0.5309 0.7204 0.5999
O 0.5322 0.9414 0.3454
O 0.6010 0.9476 0.9613
O 0.6381 0.2092 0.7056
O 0.6664 0.2324 0.2567
O 0.7204 0.5309 0.5999
O 0.7492 0.7492 0.3356
O 0.8140 0.0258 0.6763
O 0.8511 0.0601 0.2861
O 0.9287 0.2726 0.9984
O 0.9336 0.3439 0.6190
O 0.9414 0.5322 0.3454
O 0.9476 0.6010 0.9613
! size of the total moment: 14.00 μB per formula unit
! ΔH_f (0 K): -1702 meV/atom

5.
! KNiAsO4 (PBE+U, optimized geometry); values from VASP
&SYSTEM
  ibrav = 0, nat = 28, ntyp = 4
/
ATOMIC_SPECIES
O 16.00 O.upf
Ni 58.69 Ni.upf
K 39.10 K.upf
As 74.92 As.upf
CELL_PARAMETERS angstrom
-2.2863 -4.3340 1.2667
4.8937 -0.0039 8.8190
-7.5139 4.3340 1.2667
ATOMIC_POSITIONS crystal
O 0.8404 0.6252 0.3765
O 0.0000 0.1427 0.3809
O 0.1724 0.3748 0.9555
Ni 0.5000 0.4956 0.6652
K 0.0000 0.1329 0.7110
O 0.5000 0.8573 0.1191
Ni 0.5000 0.5044 0.3348
O 0.3276 0.6252 0.5445
O 0.1596 0.3748 0.6235
O 0.3404 0.6252 0.8765
O 0.8276 0.6252 0.0445
O 0.6680 0.3748 0.7959
O 0.0000 0.8573 0.6191
Ni 0.0000 0.4956 0.1652
O 0.1680 0.3748 0.2959
K 0.0000 0.8671 0.2890
As 0.0000 0.6812 0.5604
Ni 0.0000 0.5044 0.8348
K 0.5000 0.1329 0.2110
As 0.5000 0.6812 0.0604
O 0.8320 0.6252 0.7041
O 0.6724 0.3748 0.4555
As 0.5000 0.3188 0.9396
O 0.6596 0.3748 0.1235
As 0.0000 0.3188 0.4396
O 0.3320 0.6252 0.2041
O 0.5000 0.1427 0.8809
K 0.5000 0.8671 0.7890
! size of the total moment: 0.00 μB per formula unit
! ΔH_f (0 K): -1797 meV/atom

6.
! KNi3As3O11 (PBE+U, optimized geometry); values from VASP
&SYSTEM
  ibrav = 0, nat = 72, ntyp = 4
/
ATOMIC_SPECIES
K 39.10 K.upf
Ni 58.69 Ni.upf
As 74.92 As.upf
O 16.00 O.upf
CELL_PARAMETERS angstrom
10.2560 0.0000 0.0000
0.0000 9.8432 0.0000
-5.1736 0.0000 9.0398
ATOMIC_POSITIONS crystal
K 0.0909 0.2326 0.0900
K 0.0909 0.2674 0.5900
K 0.9091 0.7326 0.4100
K 0.9091 0.7674 0.9100
Ni 0.2382 0.6370 0.8815
Ni 0.2382 0.8630 0.3815
Ni 0.4089 0.1289 0.9006
Ni 0.4089 0.3711 0.4006
Ni 0.4123 0.6322 0.2365
Ni 0.4123 0.8678 0.7365
Ni 0.5877 0.1322 0.2635
Ni 0.5877 0.3678 0.7635
Ni 0.5911 0.6289 0.5994
Ni 0.5911 0.8711 0.0994
Ni 0.7618 0.1370 0.6185
Ni 0.7618 0.3630 0.1185
As 0.0929 0.5568 0.2407
As 0.0929 0.9432 0.7407
As 0.2716 0.5738 0.5856
As 0.2716 0.9262 0.0856
As 0.4015 0.1571 0.5685
As 0.4015 0.3429 0.0685
As 0.5985 0.6571 0.9315
As 0.5985 0.8429 0.4315
As 0.7284 0.0738 0.9144
As 0.7284 0.4262 0.4144
As 0.9071 0.0568 0.2593
As 0.9071 0.4432 0.7593
O 0.0570 0.5334 0.8821
O 0.0570 0.9666 0.3821
O 0.0811 0.7283 0.2295
O 0.0811 0.7717 0.7295
O 0.1132 0.5124 0.4211
O 0.1132 0.9876 0.9211
O 0.2460 0.5164 0.7233
O 0.2460 0.9836 0.2233
O 0.2577 0.5023 0.2493
O 0.2577 0.9977 0.7493
O 0.2626 0.7472 0.5645
O 0.2626 0.7528 0.0645
O 0.2650 0.2361 0.4154
O 0.2650 0.2639 0.9154
O 0.3959 0.5167 0.0647
O 0.3959 0.9833 0.5647
O 0.4147 0.2271 0.7289
O 0.4147 0.2729 0.2289
O 0.4267 0.0030 0.0859
O 0.4267 0.4970 0.5859
O 0.4361 0.7410 0.9142
O 0.4361 0.7590 0.4142
O 0.5639 0.2410 0.5858
O 0.5639 0.2590 0.0858
O 0.5733 0.5030 0.4141
O 0.5733 0.9970 0.9141
O 0.5853 0.7271 0.7711
O 0.5853 0.7729 0.2711
O 0.6041 0.0167 0.4353
O 0.6041 0.4833 0.9353
O 0.7350 0.7361 0.0846
O 0.7350 0.7639 0.5846
O 0.7374 0.2472 0.9355
O 0.7374 0.2528 0.4355
O 0.7423 0.0023 0.2507
O 0.7423 0.4977 0.7507
O 0.7540 0.0164 0.7767
O 0.7540 0.4836 0.2767
O 0.8868 0.0124 0.0789
O 0.8868 0.4876 0.5789
O 0.9189 0.2283 0.2705
O 0.9189 0.2717 0.7705
O 0.9430 0.0334 0.6179
O 0.9430 0.4666 0.1179
! size of the total moment: 6.00 μB per formula unit
! ΔH_f (0 K): -1655 meV/atom

Please write out number 1 again, unchanged.
! KMoAsO6 (PBE+U, optimized geometry); values from VASP
&SYSTEM
  ibrav = 0, nat = 36, ntyp = 4
/
ATOMIC_SPECIES
K 39.10 K.upf
Mo 95.94 Mo.upf
As 74.92 As.upf
O 16.00 O.upf
CELL_PARAMETERS angstrom
10.9422 0.0000 0.0000
0.0000 6.7594 0.0000
0.0000 0.0000 7.1396
ATOMIC_POSITIONS crystal
K 0.0000 0.0000 0.0000
K 0.0000 0.5000 0.0000
K 0.5000 0.0000 0.5000
K 0.5000 0.5000 0.5000
Mo 0.1600 0.2500 0.4516
Mo 0.3400 0.7500 0.9516
Mo 0.6600 0.2500 0.0484
Mo 0.8400 0.7500 0.5484
As 0.1543 0.7500 0.5426
As 0.3457 0.2500 0.0426
As 0.6543 0.7500 0.9574
As 0.8457 0.2500 0.4574
O 0.0279 0.7500 0.6848
O 0.0908 0.2500 0.6715
O 0.1496 0.5440 0.3971
O 0.1496 0.9560 0.3971
O 0.1864 0.7500 0.0122
O 0.2052 0.2500 0.1502
O 0.2948 0.7500 0.6502
O 0.3136 0.2500 0.5122
O 0.3504 0.0440 0.8971
O 0.3504 0.4560 0.8971
O 0.4092 0.7500 0.1715
O 0.4721 0.2500 0.1848
O 0.5279 0.7500 0.8152
O 0.5908 0.2500 0.8285
O 0.6496 0.5440 0.1029
O 0.6496 0.9560 0.1029
O 0.6864 0.7500 0.4878
O 0.7052 0.2500 0.3498
O 0.7948 0.7500 0.8498
O 0.8136 0.2500 0.9878
O 0.8504 0.0440 0.6029
O 0.8504 0.4560 0.6029
O 0.9092 0.7500 0.3285
O 0.9721 0.2500 0.3152
! size of the total moment: 0.00 μB per formula unit
! ΔH_f (0 K): -1952 meV/atom